## Sr2Zn3Au6 (PBE)

Data for a relaxed structure of Sr2Zn3Au6.

Computed properties:
As for the energy of formation from the pure elements: -0.551 eV per atom. The calculation puts the uncorrected energy at -2.99 eV per atom. Its space group is No. 167.

```
data_Sr2Zn3Au6
_cell_length_a 8.9047
_cell_length_b 8.9047
_cell_length_c 8.9047
_cell_angle_alpha 57.50
_cell_angle_beta 57.50
_cell_angle_gamma 57.50
_space_group_name_H-M_alt 'P 1'
_space_group_IT_number 1
loop_
_space_group_symop_operation_xyz
'x,y,z'
loop_
_atom_site_label
_atom_site_type_symbol
_atom_site_fract_x
_atom_site_fract_y
_atom_site_fract_z
Au1 Au 0.1366 0.7929 0.5207
Au2 Au 0.6366 0.0207 0.2929
Au3 Au 0.2071 0.4793 0.8634
Au4 Au 0.5207 0.1366 0.7929
Au5 Au 0.8634 0.2071 0.4793
Au6 Au 0.7929 0.5207 0.1366
Au7 Au 0.7071 0.3634 0.9793
Au8 Au 0.4793 0.8634 0.2071
Au9 Au 0.9793 0.7071 0.3634
Au10 Au 0.0207 0.2929 0.6366
Au11 Au 0.2929 0.6366 0.0207
Au12 Au 0.3634 0.9793 0.7071
Zn1 Zn 0.9427 0.5573 0.7500
Zn2 Zn 0.7500 0.9427 0.5573
Zn3 Zn 0.0573 0.4427 0.2500
Zn4 Zn 0.4427 0.2500 0.0573
Zn5 Zn 0.5573 0.7500 0.9427
Zn6 Zn 0.2500 0.0573 0.4427
Sr1 Sr 0.5924 0.5924 0.5924
Sr2 Sr 0.0924 0.0924 0.0924
Sr3 Sr 0.4076 0.4076 0.4076
Sr4 Sr 0.9076 0.9076 0.9076
```

=====

## Sr2Li2Nb3O10 (PBE)

Data for a relaxed structure of Sr2Li2Nb3O10.

Computed properties:
As for the energy of formation from the pure elements: -3.084 eV per atom. The calculation puts the uncorrected energy at -7.80 eV per atom. Its space group is No. 42.

```
data_Sr2Li2Nb3O10
_cell_length_a 13.6092
_cell_length_b 13.6088
_cell_length_c 4.0369
_cell_angle_alpha 81.48
_cell_angle_beta 81.47
_cell_angle_gamma 17.06
_space_group_name_H-M_alt 'P 1'
_space_group_IT_number 1
loop_
_space_group_symop_operation_xyz
'x,y,z'
loop_
_atom_site_label
_atom_site_type_symbol
_atom_site_fract_x
_atom_site_fract_y
_atom_site_fract_z
O1 O 0.8506 0.8511 0.6482
O2 O 0.7706 0.7716 0.2284
O3 O 0.6482 0.6501 0.8506
O4 O 0.0704 0.0820 0.9180
O5 O 0.9787 0.0213 0.4862
O6 O 0.9180 0.9296 0.0704
O7 O 0.3499 0.3518 0.1489
O8 O 0.4862 0.5138 0.9787
O9 O 0.2284 0.2294 0.7706
O10 O 0.1489 0.1494 0.3499
Nb1 Nb 0.1579 0.1572 0.8428
Nb2 Nb 0.8428 0.8421 0.1579
Nb3 Nb 0.9860 0.0140 0.9860
Sr1 Sr 0.5815 0.5832 0.4168
Sr2 Sr 0.4168 0.4185 0.5815
Li1 Li 0.2500 0.2500 0.2500
Li2 Li 0.7500 0.7500 0.7500
```

=====

- Number 2 is which compound?
  Sr2Li2Nb3O10

=====

- What is the uncorrected energy in the first record?
  -2.99 eV per atom

=====

- The highest energy of formation from the pure elements belongs to which entry?
  Sr2Zn3Au6

=====

- Look up the uncorrected energy of the second one.
  -7.80 eV per atom